! Fe2Te2Pb3O12 PBE+U relaxed; values from VASP
! energy of formation = -37.04 kcal/mol of atoms
! total energy after the MP2020 corrections = -248.51 eV for the cell shown
&SYSTEM
  ibrav = 0, nat = 38, ntyp = 4
/
ATOMIC_SPECIES
Fe 55.84 Fe.upf
Te 127.60 Te.upf
Pb 207.20 Pb.upf
O 16.00 O.upf
ATOMIC_POSITIONS crystal
Fe 0.479 0.472 0.877
Fe 0.472 0.479 0.377
Fe 0.822 0.144 0.338
Fe 0.144 0.822 0.838
Te 0.090 0.099 0.605
Te 0.099 0.090 0.105
Te 0.755 0.429 0.135
Te 0.429 0.755 0.635
Pb 0.698 0.830 0.992
Pb 0.830 0.698 0.492
Pb 0.027 0.409 0.761
Pb 0.409 0.027 0.261
Pb 0.550 0.199 0.686
Pb 0.199 0.550 0.186
O 0.293 0.522 0.807
O 0.522 0.293 0.307
O 0.573 0.994 0.482
O 0.994 0.573 0.982
O 0.064 0.273 0.158
O 0.273 0.064 0.658
O 0.141 0.036 0.364
O 0.036 0.141 0.864
O 0.336 0.224 0.989
O 0.224 0.336 0.489
O 0.758 0.229 0.089
O 0.229 0.758 0.589
O 0.549 0.449 0.608
O 0.449 0.549 0.108
O 0.893 0.110 0.580
O 0.110 0.893 0.080
O 0.614 0.734 0.708
O 0.734 0.614 0.208
O 0.694 0.471 0.898
O 0.471 0.694 0.398
O 0.860 0.959 0.253
O 0.959 0.860 0.753
O 0.821 0.361 0.367
O 0.361 0.821 0.867
CELL_PARAMETERS angstrom
-3.105 -1.750 -8.579
8.026 -4.166 2.128
-2.112 -6.980 0.621